Material: B11H10SI
Method: DFT, PBE
State: optimized geometry

Calculated values
- ρ: 1.38 g/cm3
- Crystal system: monoclinic
- E (MP2020): -5.112 eV/atom
- Energy of formation from the pure elements: -0.196 eV/atom
- SG: P2_1/c

Geometry as POSCAR:
```
B11H10SI
1.0
-5.179 -5.074 -2.907
10.721 -8.039 -5.072
5.366 -1.333 13.455
H B S I
40 44 4 4
direct
0.416 0.621 0.563
0.108 0.635 0.631
0.139 0.574 0.842
0.853 0.894 0.751
0.495 0.324 0.966
0.017 0.265 0.084
0.213 0.495 0.379
0.147 0.106 0.249
0.584 0.121 0.937
0.892 0.365 0.369
0.861 0.074 0.658
0.787 0.505 0.621
0.892 0.135 0.869
0.416 0.879 0.063
0.226 0.722 0.313
0.861 0.426 0.158
0.342 0.164 0.041
0.584 0.379 0.437
0.505 0.676 0.034
0.787 0.995 0.121
0.108 0.865 0.131
0.505 0.824 0.534
0.461 0.235 0.254
0.213 0.005 0.879
0.983 0.735 0.916
0.461 0.265 0.754
0.147 0.394 0.749
0.539 0.735 0.246
0.342 0.336 0.541
0.495 0.176 0.466
0.658 0.836 0.959
0.658 0.664 0.459
0.226 0.778 0.813
0.983 0.765 0.416
0.539 0.765 0.746
0.017 0.235 0.584
0.139 0.926 0.342
0.774 0.278 0.687
0.774 0.222 0.187
0.853 0.606 0.251
0.718 0.828 0.053
0.347 0.235 0.777
0.282 0.328 0.447
0.008 0.154 0.842
0.347 0.265 0.277
0.801 0.584 0.651
0.199 0.416 0.349
0.243 0.380 0.246
0.622 0.730 0.099
0.718 0.672 0.553
0.935 0.259 0.231
0.994 0.376 0.221
0.006 0.624 0.779
0.653 0.765 0.223
0.378 0.270 0.901
0.992 0.654 0.658
0.065 0.759 0.269
0.417 0.348 0.383
0.757 0.620 0.754
0.757 0.880 0.254
0.837 0.813 0.732
0.994 0.124 0.721
0.006 0.876 0.279
0.801 0.916 0.151
0.914 0.718 0.823
0.935 0.241 0.731
0.837 0.687 0.232
0.992 0.846 0.158
0.086 0.282 0.177
0.914 0.782 0.323
0.199 0.084 0.849
0.282 0.172 0.947
0.163 0.187 0.268
0.378 0.230 0.401
0.417 0.152 0.883
0.622 0.770 0.599
0.008 0.346 0.342
0.583 0.848 0.117
0.653 0.735 0.723
0.243 0.120 0.746
0.065 0.741 0.769
0.086 0.218 0.677
0.583 0.652 0.617
0.163 0.313 0.768
0.893 0.785 0.616
0.107 0.215 0.384
0.893 0.715 0.116
0.107 0.285 0.884
0.327 0.479 0.162
0.673 0.521 0.838
0.327 0.021 0.662
0.673 0.979 0.338
```